*1*
Entry from the Materials Project: an optimized crystal structure of Na2Al2Si3O14 (PBE).

Unit cell a=13.037 b=9.921 c=9.705 alpha=83.24 beta=49.09 gamma=47.67
Positions (direct):
O 0.146 0.065 0.156
O 0.262 0.579 0.101
O 0.359 0.572 0.444
O 0.477 0.325 0.611
O 0.587 0.611 0.325
O 0.639 0.663 0.773
O 0.806 0.625 0.891
O 0.094 0.618 0.104
O 0.632 0.156 0.065
O 0.758 0.111 0.608
O 0.678 0.891 0.625
O 0.149 0.191 0.988
O 0.059 0.101 0.579
O 0.625 0.444 0.572
O 0.046 0.817 0.911
O 0.906 0.052 0.235
O 0.642 0.727 0.492
O 0.198 0.344 0.443
O 0.015 0.443 0.344
O 0.925 0.773 0.663
O 0.339 0.024 0.204
O 0.185 0.104 0.618
O 0.523 0.608 0.111
O 0.433 0.204 0.024
O 0.671 0.988 0.191
O 0.139 0.492 0.727
O 0.226 0.911 0.817
O 0.807 0.235 0.052
Al 0.253 0.557 0.674
Al 0.576 0.735 0.997
Al 0.693 0.997 0.735
Al 0.515 0.674 0.557
Na 0.447 0.113 0.606
Na 0.137 0.803 0.415
Na 0.835 0.606 0.113
Na 0.644 0.415 0.803
Si 0.995 0.005 0.005
Si 0.687 0.237 0.508
Si 0.013 0.563 0.682
Si 0.742 0.682 0.563
Si 0.568 0.508 0.237
Si 0.245 0.255 0.255



*2*
Entry from the Materials Project: an optimized crystal structure of Na2Al2Si3O14 (PBE).

Unit cell a=13.111 b=9.982 c=9.749 alpha=83.28 beta=49.12 gamma=47.60
Positions (direct):
Si 0.244 0.256 0.256
Si 0.555 0.019 0.751
Si 0.994 0.006 0.006
Si 0.499 0.575 0.695
Si 0.231 0.695 0.575
Si 0.675 0.751 0.019
O 0.488 0.145 0.648
O 0.121 0.114 0.145
O 0.440 0.629 0.360
O 0.620 0.246 0.028
O 0.106 0.028 0.246
O 0.763 0.931 0.652
O 0.105 0.762 0.531
O 0.021 0.342 0.446
O 0.602 0.531 0.762
O 0.336 0.196 0.023
O 0.804 0.058 0.229
O 0.598 0.596 0.487
O 0.227 0.805 0.914
O 0.719 0.648 0.145
O 0.222 0.144 0.630
O 0.571 0.360 0.629
O 0.620 0.145 0.114
O 0.105 0.630 0.129
O 0.004 0.630 0.144
O 0.890 0.679 0.810
O 0.319 0.487 0.596
O 0.054 0.914 0.805
O 0.136 0.129 0.630
O 0.654 0.652 0.931
O 0.192 0.446 0.342
O 0.621 0.810 0.679
O 0.445 0.023 0.196
O 0.908 0.229 0.058
Al 0.671 0.516 0.257
Al 0.734 0.579 0.694
Al 0.993 0.694 0.579
Al 0.556 0.257 0.516
Na 0.606 0.826 0.453
Na 0.115 0.453 0.826
Na 0.424 0.644 0.135
Na 0.797 0.135 0.644



Name the most stable of them. *2*.



*1*
Entry from the Materials Project: an optimized crystal structure of CaFe2S4 (PBE).

Unit cell a=7.024 b=7.024 c=7.024 alpha=121.66 beta=117.77 gamma=90.53
Positions (direct):
S 0.693 0.728 0.965
S 0.737 0.272 0.465
S 0.307 0.272 0.035
S 0.737 0.278 0.042
S 0.737 0.695 0.458
S 0.263 0.728 0.535
S 0.263 0.305 0.542
S 0.263 0.722 0.958
Fe 0.500 0.000 0.000
Fe 0.500 0.500 0.500
Fe 0.000 0.500 0.500
Fe 0.500 0.500 0.000
Ca 0.000 0.000 0.000
Ca 0.500 0.000 0.500



*2*
Entry from the Materials Project: an optimized crystal structure of CaFe2S4 (PBE).

Unit cell a=7.236 b=7.236 c=7.236 alpha=120.38 beta=119.79 gamma=89.85
Positions (direct):
S 0.700 0.738 0.963
S 0.727 0.248 0.021
S 0.727 0.706 0.479
S 0.273 0.752 0.979
S 0.275 0.738 0.537
S 0.273 0.294 0.521
S 0.300 0.262 0.037
S 0.725 0.262 0.463
Fe 0.130 0.380 0.750
Fe 0.500 0.500 0.500
Fe 0.500 0.000 0.000
Fe 0.870 0.620 0.250
Ca 0.500 0.000 0.500
Ca 0.000 0.000 0.000



Name the most stable of them. *1*.



*1*
Entry from the Materials Project: an optimized crystal structure of LiCuP2O6 (PBE).

Unit cell a=5.190 b=14.186 c=14.280 alpha=74.65 beta=90.00 gamma=90.00
Positions (direct):
O 0.687 0.233 0.724
O 0.426 0.138 0.982
O 0.617 0.385 0.594
O 0.813 0.233 0.224
O 0.383 0.615 0.406
O 0.578 0.622 0.974
O 0.074 0.373 0.256
O 0.574 0.862 0.018
O 0.574 0.627 0.244
O 0.079 0.608 0.272
O 0.926 0.862 0.518
O 0.926 0.627 0.744
O 0.117 0.615 0.906
O 0.148 0.943 0.682
O 0.901 0.871 0.239
O 0.645 0.070 0.566
O 0.137 0.819 0.107
O 0.078 0.378 0.526
O 0.769 0.249 0.027
O 0.313 0.767 0.276
O 0.679 0.421 0.415
O 0.363 0.819 0.607
O 0.852 0.057 0.318
O 0.179 0.579 0.085
O 0.321 0.579 0.585
O 0.145 0.930 0.934
O 0.231 0.751 0.973
O 0.855 0.070 0.066
O 0.921 0.392 0.728
O 0.401 0.129 0.261
O 0.269 0.751 0.473
O 0.648 0.057 0.818
O 0.863 0.181 0.893
O 0.821 0.421 0.915
O 0.731 0.249 0.527
O 0.426 0.373 0.756
O 0.099 0.129 0.761
O 0.579 0.392 0.228
O 0.074 0.138 0.482
O 0.599 0.871 0.739
O 0.422 0.378 0.026
O 0.421 0.608 0.772
O 0.355 0.930 0.434
O 0.922 0.622 0.474
O 0.637 0.181 0.393
O 0.352 0.943 0.182
O 0.187 0.767 0.776
O 0.883 0.385 0.094
P 0.201 0.637 0.491
P 0.669 0.142 0.297
P 0.299 0.637 0.991
P 0.668 0.350 0.710
P 0.168 0.650 0.790
P 0.831 0.142 0.797
P 0.711 0.151 0.996
P 0.211 0.849 0.504
P 0.701 0.363 0.009
P 0.832 0.350 0.210
P 0.169 0.858 0.203
P 0.789 0.151 0.496
P 0.331 0.858 0.703
P 0.799 0.363 0.509
P 0.289 0.849 0.004
P 0.332 0.650 0.290
Li 0.811 0.937 0.618
Li 0.796 0.565 0.367
Li 0.204 0.435 0.633
Li 0.689 0.937 0.118
Li 0.296 0.435 0.133
Li 0.704 0.565 0.867
Li 0.189 0.063 0.382
Li 0.311 0.063 0.882
Cu 0.257 0.094 0.138
Cu 0.355 0.387 0.353
Cu 0.743 0.906 0.862
Cu 0.645 0.613 0.647
Cu 0.145 0.387 0.853
Cu 0.243 0.094 0.638
Cu 0.855 0.613 0.147
Cu 0.757 0.906 0.362



*2*
Entry from the Materials Project: an optimized crystal structure of LiCuP2O6 (PBE).

Unit cell a=8.582 b=10.469 c=11.954 alpha=67.65 beta=90.00 gamma=90.00
Positions (direct):
O 0.123 0.075 0.855
O 0.633 0.875 0.055
O 0.577 0.376 0.301
O 0.251 0.875 0.030
O 0.240 0.624 0.966
O 0.423 0.615 0.214
O 0.749 0.125 0.970
O 0.923 0.376 0.801
O 0.612 0.576 0.571
O 0.383 0.077 0.562
O 0.423 0.624 0.699
O 0.450 0.870 0.297
O 0.617 0.923 0.438
O 0.397 0.898 0.785
O 0.103 0.898 0.285
O 0.867 0.875 0.555
O 0.873 0.621 0.464
O 0.388 0.424 0.429
O 0.550 0.130 0.703
O 0.897 0.102 0.715
O 0.369 0.415 0.639
O 0.131 0.415 0.139
O 0.127 0.379 0.536
O 0.888 0.576 0.071
O 0.249 0.875 0.530
O 0.112 0.424 0.929
O 0.577 0.385 0.786
O 0.623 0.925 0.645
O 0.740 0.376 0.534
O 0.950 0.130 0.203
O 0.751 0.125 0.470
O 0.760 0.376 0.034
O 0.077 0.615 0.714
O 0.077 0.624 0.199
O 0.133 0.125 0.445
O 0.260 0.624 0.466
O 0.877 0.925 0.145
O 0.603 0.102 0.215
O 0.627 0.621 0.964
O 0.631 0.585 0.361
O 0.869 0.585 0.861
O 0.117 0.077 0.062
O 0.377 0.075 0.355
O 0.923 0.385 0.286
O 0.373 0.379 0.036
O 0.050 0.870 0.797
O 0.367 0.125 0.945
O 0.883 0.923 0.938
P 0.769 0.970 0.024
P 0.986 0.995 0.815
P 0.731 0.970 0.524
P 0.734 0.532 0.486
P 0.514 0.995 0.315
P 0.231 0.030 0.976
P 0.498 0.501 0.686
P 0.269 0.030 0.476
P 0.234 0.468 0.014
P 0.002 0.501 0.186
P 0.998 0.499 0.814
P 0.014 0.005 0.185
P 0.266 0.468 0.514
P 0.766 0.532 0.986
P 0.486 0.005 0.685
P 0.502 0.499 0.314
Li 0.604 0.255 0.487
Li 0.948 0.775 0.709
Li 0.396 0.745 0.513
Li 0.448 0.225 0.791
Li 0.052 0.225 0.291
Li 0.552 0.775 0.209
Li 0.104 0.745 0.013
Li 0.896 0.255 0.987
Cu 0.538 0.247 0.026
Cu 0.229 0.738 0.260
Cu 0.271 0.738 0.760
Cu 0.462 0.753 0.974
Cu 0.962 0.247 0.526
Cu 0.038 0.753 0.474
Cu 0.729 0.262 0.240
Cu 0.771 0.262 0.740



Name the most stable of them. *1*.



*1*
Entry from the Materials Project: an optimized crystal structure of RbNaMg14O15 (PBE).

Unit cell a=4.205 b=8.384 c=10.381 alpha=90.00 beta=90.00 gamma=90.00
Positions (direct):
O 0.500 0.221 0.722
O 0.500 0.500 0.517
O 0.500 0.257 0.284
O 0.000 0.225 0.918
O 0.000 0.500 0.315
O 0.500 0.779 0.722
O 0.500 0.000 0.986
O 0.500 0.500 0.920
O 0.000 0.775 0.918
O 0.000 0.762 0.512
O 0.500 0.743 0.284
O 0.000 0.000 0.275
O 0.000 0.500 0.704
O 0.000 0.238 0.512
O 0.500 0.000 0.479
Mg 0.500 0.500 0.730
Mg 0.500 0.237 0.518
Mg 0.000 0.730 0.734
Mg 0.000 0.000 0.477
Mg 0.500 0.254 0.941
Mg 0.000 0.500 0.513
Mg 0.500 0.746 0.941
Mg 0.000 0.270 0.734
Mg 0.500 0.000 0.797
Mg 0.000 0.747 0.303
Mg 0.000 0.253 0.303
Mg 0.500 0.763 0.518
Mg 0.500 0.500 0.317
Mg 0.500 0.000 0.268
Na 0.000 0.000 0.036
Rb 0.000 0.500 0.053



*2*
Entry from the Materials Project: an optimized crystal structure of RbNaMg14O15 (PBE).

Unit cell a=4.213 b=8.377 c=10.411 alpha=90.00 beta=90.00 gamma=90.00
Positions (direct):
Na 0.000 0.000 0.020
Mg 0.500 0.245 0.570
Mg 0.500 0.000 0.273
Mg 0.500 0.000 0.783
Mg 0.000 0.249 0.186
Mg 0.000 0.500 0.982
Mg 0.000 0.729 0.769
Mg 0.000 0.000 0.481
Mg 0.500 0.755 0.570
Mg 0.500 0.760 0.985
Mg 0.500 0.500 0.175
Mg 0.000 0.271 0.769
Mg 0.000 0.751 0.186
Mg 0.500 0.500 0.769
Mg 0.500 0.240 0.985
O 0.500 0.000 0.966
O 0.000 0.202 0.584
O 0.000 0.000 0.260
O 0.000 0.256 0.982
O 0.500 0.234 0.770
O 0.500 0.249 0.199
O 0.000 0.500 0.187
O 0.000 0.798 0.584
O 0.500 0.000 0.474
O 0.000 0.744 0.982
O 0.500 0.500 0.979
O 0.500 0.751 0.199
O 0.500 0.500 0.577
O 0.500 0.766 0.770
O 0.000 0.500 0.787
Rb 0.000 0.500 0.446



Name the most stable of them. *2*.



*1*
Entry from the Materials Project: an optimized crystal structure of LiAl2H2O4 (PBE).

Unit cell a=8.315 b=8.315 c=3.821 alpha=89.14 beta=89.14 gamma=20.33
Positions (direct):
Al 0.297 0.297 0.786
Al 0.695 0.695 0.294
O 0.724 0.724 0.792
O 0.875 0.875 0.782
O 0.285 0.285 0.287
O 0.130 0.130 0.299
Li 0.899 0.899 0.279
H 0.938 0.938 0.771
H 0.069 0.069 0.324



*2*
Entry from the Materials Project: an optimized crystal structure of LiAl2H2O4 (PBE).

Unit cell a=7.963 b=7.963 c=3.752 alpha=103.53 beta=103.53 gamma=20.73
Positions (direct):
H 0.076 0.076 0.279
H 0.933 0.933 0.133
Al 0.310 0.310 0.794
Al 0.699 0.699 0.184
O 0.894 0.894 0.872
O 0.286 0.286 0.271
O 0.115 0.115 0.094
O 0.723 0.723 0.708
Li 0.506 0.506 0.778



Name the most stable of them. *2*.